# 1
Material: ErB4W
Method: DFT, meta-GGA r2SCAN
State: optimized geometry

CIF file:
```
data_ErB4W
_cell_length_a 6.0020
_cell_length_b 11.5921
_cell_length_c 3.6010
_cell_angle_alpha 90.00
_cell_angle_beta 90.00
_cell_angle_gamma 90.00
_symmetry_space_group_name_H-M 'P b a m'
_symmetry_Int_Tables_number 55
_symmetry_space_group_name_Hall '-P 2 2ab'
loop_
_atom_site_label
_atom_site_fract_x
_atom_site_fract_y
_atom_site_fract_z
_atom_site_occupancy
Er1 0.1275 0.1491 0.0000 1
B1 0.0236 0.6937 0.5000 1
B2 0.1144 0.5476 0.5000 1
B3 0.1331 0.9680 0.5000 1
B4 0.2127 0.8134 0.5000 1
W1 0.1307 0.4156 0.0000 1
```

# 2
Material: EuB4Ir4
Method: DFT, meta-GGA r2SCAN
State: optimized geometry

CIF file:
```
data_EuB4Ir4
_cell_length_a 7.6733
_cell_length_b 7.6733
_cell_length_c 3.9672
_cell_angle_alpha 90.00
_cell_angle_beta 90.00
_cell_angle_gamma 90.00
_symmetry_space_group_name_H-M 'P 42/n'
_symmetry_Int_Tables_number 86
loop_
_symmetry_equiv_pos_as_xyz
'x,y,z'
'-x,-y,-z'
'-y,x+1/2,z+1/2'
'y,-x+1/2,-z+1/2'
'-x+1/2,-y+1/2,z'
'x+1/2,y+1/2,-z'
'y+1/2,-x,z+1/2'
'-y+1/2,x,-z+1/2'
loop_
_atom_site_label
_atom_site_fract_x
_atom_site_fract_y
_atom_site_fract_z
_atom_site_occupancy
Eu1 0.2500 0.2500 0.2500 1
B1 0.0286 0.5925 0.1429 1
Ir1 0.0939 0.8606 0.1430 1
```

Formation energy values, unit kJ/mol of atoms, following the record order: -62.5; -55.7.